# 1
First-principles (PBE+U) data for a relaxed structure of BaDyFe2O5, as listed in Materials Project.

Results
calculated total energy: -63.10 eV for the cell shown
energy relative to the lowest polymorph listed for this composition: 0.027 eV per atom

a = 3.926 Å, b = 3.926 Å, c = 7.474 Å
α = 90.00°, β = 90.00°, γ = 90.00°
Sites, in units of the cell vectors:
Ba1 0.000 0.000 0.000
Dy1 0.000 0.000 0.500
Fe1 0.500 0.500 0.276
Fe2 0.500 0.500 0.724
O1 0.000 0.500 0.309
O2 0.000 0.500 0.691
O3 0.500 0.000 0.309
O4 0.500 0.000 0.691
O5 0.500 0.500 0.000

# 2
First-principles (PBE+U) data for a relaxed structure of Li3MnP2O8, as listed in Materials Project.

Results
calculated total energy: -280.61 eV for the cell shown
energy relative to the lowest polymorph listed for this composition: 0.075 eV per atom

a = 8.451 Å, b = 8.451 Å, c = 8.451 Å
α = 64.27°, β = 64.27°, γ = 64.27°
Sites, in units of the cell vectors:
Li1 0.000 0.000 0.000
Li2 0.136 0.318 0.789
Li3 0.142 0.142 0.142
Li4 0.238 0.838 0.641
Li5 0.318 0.789 0.136
Li6 0.489 0.489 0.489
Li7 0.641 0.238 0.838
Li8 0.789 0.136 0.318
Li9 0.838 0.641 0.238
Mn1 0.345 0.345 0.345
Mn2 0.636 0.636 0.636
Mn3 0.847 0.847 0.847
P1 0.040 0.739 0.441
P2 0.239 0.543 0.937
P3 0.441 0.040 0.739
P4 0.543 0.937 0.239
P5 0.739 0.441 0.040
P6 0.937 0.239 0.543
O1 0.013 0.798 0.604
O2 0.045 0.895 0.256
O3 0.090 0.738 0.916
O4 0.099 0.297 0.514
O5 0.179 0.387 0.962
O6 0.232 0.590 0.420
O7 0.256 0.045 0.895
O8 0.297 0.514 0.099
O9 0.387 0.962 0.179
O10 0.396 0.565 0.744
O11 0.420 0.232 0.590
O12 0.482 0.881 0.668
O13 0.514 0.099 0.297
O14 0.565 0.744 0.396
O15 0.590 0.420 0.232
O16 0.604 0.013 0.798
O17 0.668 0.482 0.881
O18 0.738 0.916 0.090
O19 0.744 0.396 0.565
O20 0.798 0.604 0.013
O21 0.881 0.668 0.482
O22 0.895 0.256 0.045
O23 0.916 0.090 0.738
O24 0.962 0.179 0.387

# 3
First-principles (PBE+U) data for a relaxed structure of AgMo3P3O16, as listed in Materials Project.

Results
calculated total energy: -321.80 eV for the cell shown

a = 6.516 Å, b = 7.902 Å, c = 13.025 Å
α = 80.12°, β = 79.57°, γ = 82.61°
Sites, in units of the cell vectors:
Ag1 0.093 0.376 0.330
Ag2 0.907 0.624 0.670
Mo1 0.098 0.233 0.835
Mo2 0.302 0.785 0.458
Mo3 0.439 0.789 0.858
Mo4 0.561 0.211 0.142
Mo5 0.698 0.215 0.542
Mo6 0.902 0.767 0.165
P1 0.076 0.166 0.100
P2 0.194 0.144 0.577
P3 0.435 0.512 0.685
P4 0.565 0.488 0.315
P5 0.806 0.856 0.423
P6 0.924 0.834 0.900
O1 0.016 0.249 0.520
O2 0.076 0.971 0.104
O3 0.102 0.607 0.183
O4 0.128 0.257 0.986
O5 0.137 0.150 0.695
O6 0.140 0.756 0.844
O7 0.220 0.952 0.565
O8 0.245 0.203 0.163
O9 0.280 0.595 0.610
O10 0.310 0.942 0.350
O11 0.337 0.383 0.778
O12 0.363 0.575 0.377
O13 0.366 0.011 0.861
O14 0.392 0.234 0.526
O15 0.416 0.692 0.986
O16 0.485 0.345 0.265
O17 0.515 0.655 0.735
O18 0.584 0.308 0.014
O19 0.608 0.766 0.474
O20 0.634 0.989 0.139
O21 0.637 0.425 0.623
O22 0.663 0.617 0.222
O23 0.690 0.058 0.650
O24 0.720 0.405 0.390
O25 0.755 0.797 0.837
O26 0.780 0.048 0.435
O27 0.860 0.244 0.156
O28 0.863 0.850 0.305
O29 0.872 0.743 0.014
O30 0.898 0.393 0.817
O31 0.924 0.029 0.896
O32 0.984 0.751 0.480

# 4
First-principles (PBE+U) data for a relaxed structure of CrC32O5, as listed in Materials Project.

Results
calculated total energy: -1170.35 eV for the cell shown

a = 9.246 Å, b = 16.269 Å, c = 19.501 Å
α = 90.00°, β = 115.97°, γ = 90.00°
Sites, in units of the cell vectors:
Cr1 0.149 0.021 0.005
Cr2 0.149 0.479 0.505
Cr3 0.851 0.521 0.495
Cr4 0.851 0.979 0.995
C1 0.002 0.201 0.182
C2 0.002 0.299 0.682
C3 0.042 0.237 0.748
C4 0.042 0.263 0.248
C5 0.046 0.199 0.467
C6 0.046 0.301 0.967
C7 0.054 0.665 0.769
C8 0.054 0.835 0.269
C9 0.055 0.068 0.436
C10 0.055 0.432 0.936
C11 0.065 0.075 0.128
C12 0.065 0.425 0.628
C13 0.071 0.564 0.126
C14 0.071 0.936 0.626
C15 0.097 0.130 0.195
C16 0.097 0.370 0.695
C17 0.099 0.714 0.097
C18 0.099 0.786 0.597
C19 0.118 0.637 0.570
C20 0.118 0.863 0.070
C21 0.122 0.131 0.483
C22 0.122 0.369 0.983
C23 0.125 0.726 0.388
C24 0.125 0.774 0.888
C25 0.163 0.654 0.836
C26 0.163 0.846 0.336
C27 0.164 0.638 0.149
C28 0.164 0.862 0.649
C29 0.168 0.239 0.314
C30 0.168 0.261 0.814
C31 0.189 0.713 0.616
C32 0.189 0.787 0.116
C33 0.200 0.708 0.893
C34 0.200 0.792 0.393
C35 0.226 0.111 0.266
C36 0.226 0.389 0.766
C37 0.266 0.172 0.333
C38 0.266 0.328 0.833
C39 0.306 0.653 0.211
C40 0.306 0.847 0.711
C41 0.327 0.042 0.286
C42 0.327 0.458 0.786
C43 0.341 0.706 0.680
C44 0.341 0.794 0.180
C45 0.377 0.201 0.693
C46 0.377 0.299 0.193
C47 0.398 0.152 0.404
C48 0.398 0.348 0.904
C49 0.399 0.032 0.936
C50 0.399 0.468 0.436
C51 0.404 0.720 0.235
C52 0.404 0.780 0.735
C53 0.423 0.136 0.738
C54 0.423 0.364 0.238
C55 0.443 0.032 0.351
C56 0.443 0.468 0.851
C57 0.444 0.638 0.702
C58 0.444 0.862 0.202
C59 0.447 0.230 0.200
C60 0.447 0.270 0.700
C61 0.460 0.504 0.394
C62 0.460 0.996 0.894
C63 0.472 0.085 0.408
C64 0.472 0.415 0.908
C65 0.528 0.585 0.092
C66 0.528 0.915 0.592
C67 0.540 0.004 0.106
C68 0.540 0.496 0.606
C69 0.553 0.730 0.300
C70 0.553 0.770 0.800
C71 0.556 0.138 0.798
C72 0.556 0.362 0.298
C73 0.557 0.532 0.149
C74 0.557 0.968 0.649
C75 0.577 0.636 0.762
C76 0.577 0.864 0.262
C77 0.596 0.220 0.265
C78 0.596 0.280 0.765
C79 0.601 0.532 0.564
C80 0.601 0.968 0.064
C81 0.602 0.652 0.096
C82 0.602 0.848 0.596
C83 0.623 0.701 0.807
C84 0.623 0.799 0.307
C85 0.659 0.206 0.820
C86 0.659 0.294 0.320
C87 0.673 0.542 0.214
C88 0.673 0.958 0.714
C89 0.694 0.153 0.289
C90 0.694 0.347 0.789
C91 0.734 0.672 0.167
C92 0.734 0.828 0.667
C93 0.774 0.611 0.234
C94 0.774 0.889 0.734
C95 0.800 0.208 0.607
C96 0.800 0.292 0.107
C97 0.811 0.213 0.884
C98 0.811 0.287 0.384
C99 0.832 0.739 0.186
C100 0.832 0.761 0.686
C101 0.836 0.138 0.351
C102 0.836 0.362 0.851
C103 0.837 0.154 0.664
C104 0.837 0.346 0.164
C105 0.875 0.226 0.112
C106 0.875 0.274 0.612
C107 0.878 0.631 0.017
C108 0.878 0.869 0.517
C109 0.882 0.137 0.930
C110 0.882 0.363 0.430
C111 0.901 0.214 0.403
C112 0.901 0.286 0.903
C113 0.903 0.630 0.305
C114 0.903 0.870 0.805
C115 0.929 0.064 0.374
C116 0.929 0.436 0.874
C117 0.935 0.575 0.372
C118 0.935 0.925 0.872
C119 0.945 0.568 0.064
C120 0.945 0.932 0.564
C121 0.946 0.165 0.731
C122 0.946 0.335 0.231
C123 0.954 0.699 0.033
C124 0.954 0.801 0.533
C125 0.958 0.737 0.752
C126 0.958 0.763 0.252
C127 0.998 0.701 0.318
C128 0.998 0.799 0.818
O1 0.033 0.125 0.952
O2 0.033 0.375 0.452
O3 0.071 0.538 0.403
O4 0.071 0.962 0.903
O5 0.174 0.073 0.105
O6 0.174 0.427 0.605
O7 0.212 0.589 0.557
O8 0.212 0.911 0.057
O9 0.370 0.055 0.989
O10 0.370 0.445 0.489
O11 0.630 0.555 0.511
O12 0.630 0.945 0.011
O13 0.788 0.089 0.943
O14 0.788 0.411 0.443
O15 0.826 0.573 0.395
O16 0.826 0.927 0.895
O17 0.929 0.038 0.097
O18 0.929 0.462 0.597
O19 0.967 0.625 0.548
O20 0.967 0.875 0.048

# 5
First-principles (PBE+U) data for a relaxed structure of CrO3, as listed in Materials Project.

Results
calculated total energy: -105.43 eV for the cell shown
energy relative to the lowest polymorph listed for this composition: 0.031 eV per atom

a = 5.561 Å, b = 5.338 Å, c = 8.667 Å
α = 90.00°, β = 90.00°, γ = 90.00°
Sites, in units of the cell vectors:
Cr1 0.226 0.072 0.000
Cr2 0.274 0.572 0.500
Cr3 0.726 0.428 0.000
Cr4 0.774 0.928 0.500
O1 0.081 0.831 0.506
O2 0.220 0.394 0.644
O3 0.227 0.413 0.347
O4 0.273 0.913 0.847
O5 0.280 0.894 0.144
O6 0.419 0.331 0.006
O7 0.581 0.669 0.506
O8 0.720 0.106 0.644
O9 0.727 0.087 0.347
O10 0.773 0.587 0.847
O11 0.780 0.606 0.144
O12 0.919 0.169 0.006

# 6
First-principles (PBE+U) data for a relaxed structure of LiMnF4, as listed in Materials Project.

Results
calculated total energy: -129.79 eV for the cell shown

a = 7.881 Å, b = 7.881 Å, c = 12.549 Å
α = 121.73°, β = 121.73°, γ = 29.26°
Sites, in units of the cell vectors:
Li1 0.149 0.149 0.328
Li2 0.314 0.314 0.833
Li3 0.686 0.686 0.167
Li4 0.851 0.851 0.672
Mn1 0.354 0.354 0.357
Mn2 0.456 0.456 0.128
Mn3 0.544 0.544 0.872
Mn4 0.646 0.646 0.643
F1 0.029 0.029 0.852
F2 0.164 0.164 0.665
F3 0.202 0.202 0.211
F4 0.302 0.302 0.459
F5 0.323 0.323 0.991
F6 0.401 0.401 0.736
F7 0.405 0.405 0.249
F8 0.500 0.500 0.000
F9 0.500 0.500 0.500
F10 0.595 0.595 0.751
F11 0.599 0.599 0.264
F12 0.677 0.677 0.009
F13 0.698 0.698 0.541
F14 0.798 0.798 0.789
F15 0.836 0.836 0.335
F16 0.971 0.971 0.148

no.,ΔE_f (meV/atom)
1,-2538
2,-2529
3,-2205
4,834
5,-1480
6,-2872